No. 1
Compound: LiV8F33
Source: the Materials Project database
Functional: PBE with a Hubbard U
Structure: relaxed

Cell lengths 8.8854, 8.8854, 18.4449 Å; angles 90.00, 90.00, 120.00 degrees
With the nearest neighbours (Å) after each atom.
Fractional coordinates of all 84 atoms:
Li 0.3333 0.6667 0.1340  3 F 1.90
Li 0.6667 0.3333 0.6340  3 F 1.90
V 0.0055 0.6733 0.2465  5 F 1.74-1.95
V 0.0036 0.3386 0.8795  3 F 1.75-1.89
V 0.3350 0.9964 0.8795  3 F 1.75-1.89
V 0.0000 0.0000 0.0063  3 F 1.79
V 0.0000 0.0000 0.5063  3 F 1.79
V 0.3333 0.6667 0.6198  3 F 1.77
V 0.3267 0.3322 0.2465  5 F 1.74-1.95
V 0.3322 0.3267 0.7465  5 F 1.74-1.95
V 0.6678 0.9945 0.2465  5 F 1.74-1.95
V 0.6614 0.6650 0.8795  3 F 1.75-1.89
V 0.6650 0.6614 0.3795  3 F 1.75-1.89
V 0.3386 0.0036 0.3795  3 F 1.75-1.89
V 0.6667 0.3333 0.1198  3 F 1.77
V 0.9945 0.6678 0.7465  5 F 1.74-1.95
V 0.6733 0.0055 0.7465  5 F 1.74-1.95
V 0.9964 0.3350 0.3795  3 F 1.75-1.89
F 0.0692 0.8653 0.0506  1 V 1.79
F 0.0696 0.8649 0.1986  1 V 1.74
F 0.1316 0.9291 0.4332  2 V 1.89-2.08
F 0.1420 0.8702 0.8108  2 V 1.97-2.00
F 0.2029 0.7985 0.3116  2 V 1.95-2.04
F 0.0642 0.5397 0.8107  2 V 1.95-2.03
F 0.1268 0.6035 0.1873  1 V 1.85, 1 Li 1.90
F 0.2008 0.7338 0.6924  2 V 1.90-2.06
F 0.2514 0.7967 0.9278  1 V 1.78
F 0.1315 0.5267 0.4265  1 V 1.75
F 0.1326 0.5298 0.5762  1 V 1.77
F 0.3952 0.8685 0.4265  1 V 1.75
F 0.0709 0.2025 0.4332  2 V 1.89-2.08
F 0.3972 0.8674 0.5762  1 V 1.77
F 0.2033 0.4547 0.9278  1 V 1.78
F 0.1298 0.2718 0.8108  2 V 1.97-2.00
F 0.4755 0.9358 0.8107  2 V 1.95-2.03
F 0.2015 0.4045 0.3116  2 V 1.95-2.04
F 0.4767 0.8732 0.1873  1 V 1.85, 1 Li 1.90
F 0.1347 0.2039 0.0506  1 V 1.79
F 0.1351 0.2047 0.1986  1 V 1.74
F 0.2662 0.4670 0.6924  2 V 1.90-2.06
F 0.5330 0.7992 0.6924  2 V 1.90-2.06
F 0.2039 0.1347 0.5506  1 V 1.79
F 0.2047 0.1351 0.6986  1 V 1.74
F 0.3965 0.5233 0.1873  1 V 1.85, 1 Li 1.90
F 0.2025 0.0709 0.9332  2 V 1.89-2.08
F 0.4702 0.6028 0.5762  1 V 1.77
F 0.5453 0.7486 0.9278  1 V 1.78
F 0.4733 0.6048 0.4265  1 V 1.75
F 0.4603 0.5245 0.8107  2 V 1.95-2.03
F 0.5955 0.7971 0.3116  2 V 1.95-2.04
F 0.2718 0.1298 0.3108  2 V 1.97-2.00
F 0.4045 0.2015 0.8116  2 V 1.95-2.04
F 0.7282 0.8580 0.8108  2 V 1.97-2.00
F 0.5245 0.4603 0.3107  2 V 1.95-2.03
F 0.7953 0.9304 0.1986  1 V 1.74
F 0.5233 0.3965 0.6873  1 V 1.85, 1 Li 1.90
F 0.7961 0.9308 0.0506  1 V 1.79
F 0.4670 0.2662 0.1924  2 V 1.90-2.06
F 0.4547 0.2033 0.4278  1 V 1.78
F 0.6048 0.4733 0.9265  1 V 1.75
F 0.6028 0.4702 0.0762  1 V 1.77
F 0.7975 0.8684 0.4332  2 V 1.89-2.08
F 0.5267 0.1315 0.9265  1 V 1.75
F 0.8684 0.7975 0.9332  2 V 1.89-2.08
F 0.5298 0.1326 0.0762  1 V 1.77
F 0.7486 0.5453 0.4278  1 V 1.78
F 0.8580 0.7282 0.3108  2 V 1.97-2.00
F 0.5397 0.0642 0.3107  2 V 1.95-2.03
F 0.7971 0.5955 0.8116  2 V 1.95-2.04
F 0.6035 0.1268 0.6873  1 V 1.85, 1 Li 1.90
F 0.9308 0.7961 0.5506  1 V 1.79
F 0.9304 0.7953 0.6986  1 V 1.74
F 0.7992 0.5330 0.1924  2 V 1.90-2.06
F 0.7338 0.2008 0.1924  2 V 1.90-2.06
F 0.8732 0.4767 0.6873  1 V 1.85, 1 Li 1.90
F 0.8674 0.3972 0.0762  1 V 1.77
F 0.7967 0.2514 0.4278  1 V 1.78
F 0.8685 0.3952 0.9265  1 V 1.75
F 0.9358 0.4755 0.3107  2 V 1.95-2.03
F 0.7985 0.2029 0.8116  2 V 1.95-2.04
F 0.8702 0.1420 0.3108  2 V 1.97-2.00
F 0.8649 0.0696 0.6986  1 V 1.74
F 0.8653 0.0692 0.5506  1 V 1.79
F 0.9291 0.1316 0.9332  2 V 1.89-2.08

Results
ΔE_f (meV/atom): -2985
Mass density (g/cm³): 2.742
E above lowest polymorph (eV/atom): 0.000

No. 2
Compound: Li2CoSi3O8
Source: the Materials Project database
Functional: PBE with a Hubbard U
Structure: relaxed

Cell lengths 6.6873, 13.0986, 8.6471 Å; angles 90.00, 90.00, 106.24 degrees
With the nearest neighbours (Å) after each atom.
Fractional coordinates of all 56 atoms:
Li 0.2587 0.4401 0.3026  3 O 2.04-2.15
Li 0.2584 0.9400 0.3027  3 O 2.04-2.15
Li 0.7415 0.0600 0.8027  3 O 2.04-2.15
Li 0.7413 0.5599 0.8027  3 O 2.04-2.15
Li 0.5035 0.2581 0.7659  3 O 1.96-2.12
Li 0.5034 0.7582 0.7659  3 O 1.95-2.12
Li 0.4966 0.2418 0.2659  3 O 1.95-2.12
Li 0.4965 0.7418 0.2659  3 O 1.95-2.12
Co 0.3864 0.5206 0.9991  4 O 1.97-2.01
Co 0.6139 0.4794 0.4992  4 O 1.97-2.02
Co 0.3863 0.0207 0.9992  4 O 1.97-2.01
Co 0.6135 0.9793 0.4991  4 O 1.97-2.01
Si 0.0345 0.1990 0.5281  4 O 1.60-1.67
Si 0.0346 0.6991 0.5282  4 O 1.60-1.67
Si 0.9654 0.3008 0.0282  4 O 1.60-1.67
Si 0.9656 0.8010 0.0281  4 O 1.60-1.67
Si 0.0905 0.1268 0.1954  4 O 1.62-1.65
Si 0.0906 0.6268 0.1955  4 O 1.62-1.65
Si 0.9095 0.3731 0.6955  4 O 1.62-1.65
Si 0.9095 0.8732 0.6955  4 O 1.62-1.65
Si 0.2862 0.0681 0.6619  4 O 1.61-1.68
Si 0.2862 0.5681 0.6619  4 O 1.61-1.68
Si 0.7138 0.4319 0.1619  4 O 1.61-1.68
Si 0.7138 0.9319 0.1619  4 O 1.61-1.68
O 0.0714 0.4885 0.7390  2 Si 1.64-1.66
O 0.0713 0.9885 0.7390  2 Si 1.64-1.66
O 0.9287 0.0114 0.2389  2 Si 1.64-1.66
O 0.9286 0.5115 0.2388  2 Si 1.64-1.66
O 0.9868 0.1804 0.0566  2 Si 1.64
O 0.9871 0.6805 0.0567  2 Si 1.64
O 0.0129 0.3194 0.5567  2 Si 1.64
O 0.0132 0.8196 0.5566  2 Si 1.64
O 0.1153 0.2053 0.3472  2 Si 1.65
O 0.1155 0.7054 0.3473  2 Si 1.65
O 0.8844 0.2947 0.8473  2 Si 1.65
O 0.8848 0.7947 0.8472  2 Si 1.65
O 0.1737 0.3920 0.0683  1 Si 1.60
O 0.1739 0.8922 0.0683  1 Si 1.60
O 0.8263 0.1078 0.5683  1 Si 1.60
O 0.8261 0.6080 0.5684  1 Si 1.60
O 0.2344 0.1854 0.6341  2 Si 1.67-1.68
O 0.2343 0.6854 0.6342  2 Si 1.67-1.68
O 0.7656 0.3146 0.1342  2 Si 1.67-1.68
O 0.7657 0.8146 0.1341  2 Si 1.67-1.68
O 0.3218 0.1183 0.1565  1 Si 1.62
O 0.3219 0.6182 0.1567  1 Si 1.62
O 0.6782 0.3818 0.6566  1 Si 1.62
O 0.6781 0.8816 0.6568  1 Si 1.62
O 0.3511 0.0213 0.5030  1 Si 1.61
O 0.3510 0.5213 0.5031  1 Si 1.61
O 0.6488 0.4786 0.0030  1 Si 1.61
O 0.6488 0.9788 0.0031  1 Si 1.61
O 0.4639 0.0976 0.7968  1 Si 1.63
O 0.4639 0.5977 0.7969  1 Si 1.63
O 0.5360 0.4024 0.2967  1 Si 1.63
O 0.5360 0.9022 0.2968  1 Si 1.63

Results
ΔE_f (meV/atom): -2768
Mass density (g/cm³): 2.604
E above lowest polymorph (eV/atom): 0.000

No. 3
Compound: LiFe3O3F4
Source: the Materials Project database
Functional: PBE with a Hubbard U
Structure: relaxed

Cell lengths 5.3755, 5.3755, 5.3755 Å; angles 102.88, 102.88, 102.88 degrees
With the nearest neighbours (Å) after each atom.
Fractional coordinates of all 11 atoms:
Li 0.9841 0.9841 0.9841  4 F 1.79-1.85
Fe 0.5344 0.1544 0.5344  1 F 1.86, 3 O 1.97-1.99
Fe 0.5344 0.5344 0.1544  1 F 1.86, 3 O 1.97-1.99
Fe 0.1544 0.5344 0.5344  1 F 1.86, 3 O 1.97-1.99
O 0.7664 0.3835 0.3835  3 Fe 1.97-1.99
O 0.3835 0.3835 0.7664  3 Fe 1.97-1.99
O 0.3835 0.7664 0.3835  3 Fe 1.97-1.99
F 0.8188 0.1831 0.8188  1 Li 1.79, 1 Fe 1.86
F 0.2515 0.2515 0.2515  1 Li 1.85
F 0.8188 0.8188 0.1831  1 Li 1.79, 1 Fe 1.86
F 0.1831 0.8188 0.8188  1 Li 1.79, 1 Fe 1.86

Results
ΔE_f (meV/atom): -2208
Piezoelectric modulus e_max (C/m²): 1.15
Mass density (g/cm³): 3.505

No. 4
Compound: NaFe2Mo2O10
Source: the Materials Project database
Functional: PBE with a Hubbard U
Structure: relaxed

Cell lengths 5.8175, 5.8175, 8.0540 Å; angles 67.15, 67.15, 62.44 degrees
With the nearest neighbours (Å) after each atom.
Fractional coordinates of all 15 atoms:
Na 0.0000 0.0000 0.0000  6 O 2.45-2.74
Fe 0.0000 0.5000 0.5000  2 O 1.86
Fe 0.5000 0.0000 0.5000  2 O 1.86
Mo 0.4238 0.4238 0.7740  4 O 1.73-1.90
Mo 0.5762 0.5762 0.2260  4 O 1.73-1.90
O 0.3358 0.3358 0.6082  1 Mo 1.90, 2 Fe 2.11
O 0.6642 0.6642 0.3918  1 Mo 1.90, 2 Fe 2.11
O 0.7792 0.3047 0.7485  1 Mo 1.80
O 0.3047 0.7792 0.7485  1 Mo 1.80
O 0.2208 0.6953 0.2515  1 Mo 1.80
O 0.6953 0.2208 0.2515  1 Mo 1.80
O 0.2762 0.2762 0.9983  1 Mo 1.73
O 0.7238 0.7238 0.0017  1 Mo 1.73
O 0.1830 0.1830 0.4247  2 Fe 1.86
O 0.8170 0.8170 0.5753  2 Fe 1.86

Results
ΔE_f (meV/atom): -1726
Mass density (g/cm³): 3.753

Which value of ΔE_f does entry 4 give?
-1726 meV/atom